# LiZn

LiZn after structural relaxation (meta-GGA r2SCAN, the Materials Project database).

Structure (extended XYZ):
```
4
Lattice="0.000 3.032 3.032 3.032 0.000 3.032 3.032 3.032 0.000" Properties=species:S:1:pos:R:3 pbc="T T T"
Li 0.758 0.758 0.758
Li 5.306 5.306 5.306
Zn 2.274 2.274 2.274
Zn 3.790 3.790 3.790
```

Calculated values
- Spin magnetization: 0.0 μB per cell
- Formation enthalpy at 0 K: -0.220 eV per atom



# Li3Zn

Li3Zn after structural relaxation (meta-GGA r2SCAN, the Materials Project database).

Structure (extended XYZ):
```
4
Lattice="-2.142 2.142 3.482 2.142 -2.142 3.482 2.142 2.142 -3.482" Properties=species:S:1:pos:R:3 pbc="T T T"
Li 0.000 0.000 0.000
Li 2.142 0.000 1.741
Li 0.000 2.142 1.741
Zn 0.000 0.000 3.482
```

Calculated values
- Spin magnetization: 0.0 μB per cell
- Formation enthalpy at 0 K: -0.085 eV per atom



# Lu

Lu after structural relaxation (meta-GGA r2SCAN, the Materials Project database).

Structure (extended XYZ):
```
2
Lattice="3.518 0.000 0.000 -1.759 3.047 0.000 0.000 0.000 5.446" Properties=species:S:1:pos:R:3 pbc="T T T"
Lu 0.000 2.031 1.362
Lu 1.759 1.016 4.085
```

Calculated values
- Spin magnetization: 0.0 μB per cell
- Formation enthalpy at 0 K: 0.001 eV per atom